# 1
Computed, not measured: an optimized crystal structure of Na2B4O11 at the GGA-PBE level of DFT.

Computed properties:
The volume is 1080.4 Å³ per cell. The polymorph energy (0 for the lowest one) is 251.7 meV per atom. The energy of formation comes out at -25.20 eV per formula unit. As for the energy: -6.3072 eV/atom. For the total magnetization, the calculation gives 5.00 μB/f.u.

Cell: 7.187 11.731 13.012 Å, 90.00 100.01 90.00°
Fractional coordinates of all 68 atoms:
Na 0.000 0.012 0.250
Na 0.000 0.988 0.750
Na 0.182 0.233 0.021
Na 0.182 0.767 0.521
Na 0.500 0.397 0.250
Na 0.500 0.603 0.750
Na 0.818 0.233 0.479
Na 0.818 0.767 0.979
B 0.302 0.189 0.293
B 0.302 0.811 0.793
B 0.309 0.284 0.461
B 0.309 0.716 0.961
B 0.315 0.486 0.513
B 0.315 0.514 0.013
B 0.393 0.087 0.454
B 0.393 0.913 0.954
B 0.607 0.087 0.046
B 0.607 0.913 0.546
B 0.685 0.486 0.987
B 0.685 0.514 0.487
B 0.691 0.284 0.039
B 0.691 0.716 0.539
B 0.698 0.189 0.207
B 0.698 0.811 0.707
O 0.094 0.062 0.094
O 0.094 0.938 0.594
O 0.143 0.209 0.818
O 0.143 0.791 0.318
O 0.159 0.209 0.725
O 0.159 0.791 0.225
O 0.186 0.461 0.184
O 0.186 0.539 0.684
O 0.215 0.421 0.029
O 0.215 0.579 0.529
O 0.251 0.373 0.514
O 0.251 0.627 0.014
O 0.277 0.198 0.190
O 0.277 0.802 0.690
O 0.310 0.290 0.354
O 0.310 0.710 0.854
O 0.318 0.084 0.348
O 0.318 0.916 0.848
O 0.367 0.183 0.512
O 0.367 0.817 0.012
O 0.500 0.000 0.000
O 0.500 0.000 0.500
O 0.500 0.500 0.000
O 0.500 0.500 0.500
O 0.633 0.183 0.988
O 0.633 0.817 0.488
O 0.682 0.084 0.152
O 0.682 0.916 0.652
O 0.690 0.290 0.146
O 0.690 0.710 0.646
O 0.723 0.198 0.310
O 0.723 0.802 0.810
O 0.749 0.373 0.986
O 0.749 0.627 0.486
O 0.785 0.421 0.471
O 0.785 0.579 0.971
O 0.814 0.461 0.316
O 0.814 0.539 0.816
O 0.841 0.209 0.775
O 0.841 0.791 0.275
O 0.857 0.209 0.682
O 0.857 0.791 0.182
O 0.906 0.062 0.406
O 0.906 0.938 0.906

# 2
Computed, not measured: an optimized crystal structure of Na7Al3ZnP6O24 at the GGA-PBE level of DFT.

Computed properties:
The volume is 1419.6 Å³ per cell. The energy of formation comes out at -113.31 eV per formula unit. As for the energy: -6.5807 eV/atom. For the total magnetization, the calculation gives 0.00 μB/f.u.

Cell: 8.727 8.728 21.516 Å, 89.88 89.91 60.03°
Fractional coordinates of all 123 atoms:
Na 0.000 0.000 0.000
Na 0.000 0.639 0.254
Na 0.001 0.648 0.750
Na 0.040 0.299 0.170
Na 0.299 0.680 0.170
Na 0.302 0.304 0.666
Na 0.325 0.341 0.337
Na 0.326 0.606 0.836
Na 0.333 0.973 0.584
Na 0.334 0.981 0.084
Na 0.359 0.640 0.500
Na 0.640 0.637 0.000
Na 0.657 0.305 0.920
Na 0.659 0.940 0.170
Na 0.666 0.296 0.420
Na 0.668 0.671 0.666
Na 0.702 0.611 0.337
Na 0.706 0.966 0.836
Na 0.965 0.347 0.836
Na 0.972 0.965 0.337
Na 0.997 0.280 0.500
Al 0.001 0.637 0.101
Al 0.329 0.972 0.730
Al 0.333 0.978 0.937
Al 0.338 0.974 0.437
Al 0.663 0.305 0.066
Al 0.666 0.306 0.270
Al 0.667 0.301 0.568
Al 0.667 0.303 0.768
Al 0.999 0.647 0.602
Zn 0.002 0.638 0.904
Zn 0.333 0.973 0.235
Zn 0.998 0.642 0.407
P 0.002 0.342 0.002
P 0.037 0.264 0.334
P 0.045 0.979 0.833
P 0.298 0.635 0.001
P 0.300 0.341 0.503
P 0.338 0.677 0.333
P 0.339 0.254 0.832
P 0.374 0.598 0.668
P 0.377 0.313 0.166
P 0.615 0.685 0.832
P 0.623 0.977 0.333
P 0.671 0.015 0.668
P 0.673 0.589 0.165
P 0.701 0.939 0.002
P 0.702 0.641 0.503
P 0.949 0.017 0.165
P 0.957 0.303 0.668
P 0.995 0.938 0.502
O 0.011 0.451 0.340
O 0.022 0.815 0.836
O 0.029 0.435 0.059
O 0.035 0.805 0.556
O 0.126 0.009 0.893
O 0.128 0.142 0.391
O 0.135 0.994 0.168
O 0.146 0.140 0.674
O 0.146 0.192 0.274
O 0.167 0.156 0.995
O 0.167 0.948 0.777
O 0.167 0.954 0.496
O 0.170 0.673 0.058
O 0.172 0.433 0.559
O 0.175 0.441 0.835
O 0.177 0.650 0.340
O 0.190 0.482 0.160
O 0.190 0.612 0.660
O 0.227 0.602 0.941
O 0.231 0.453 0.443
O 0.301 0.786 0.274
O 0.309 0.159 0.495
O 0.310 0.169 0.773
O 0.314 0.807 0.996
O 0.354 0.150 0.169
O 0.359 0.782 0.675
O 0.368 0.768 0.391
O 0.371 0.136 0.889
O 0.458 0.344 0.226
O 0.459 0.477 0.726
O 0.483 0.324 0.513
O 0.486 0.477 0.011
O 0.495 0.512 0.611
O 0.497 0.010 0.388
O 0.499 0.283 0.111
O 0.501 0.768 0.892
O 0.502 0.994 0.674
O 0.508 0.274 0.827
O 0.509 0.775 0.168
O 0.510 0.492 0.328
O 0.515 0.806 0.496
O 0.519 0.948 0.995
O 0.527 0.802 0.775
O 0.555 0.939 0.273
O 0.632 0.141 0.613
O 0.633 0.497 0.827
O 0.637 0.149 0.328
O 0.646 0.499 0.109
O 0.679 0.475 0.512
O 0.683 0.122 0.011
O 0.699 0.098 0.728
O 0.703 0.474 0.225
O 0.793 0.811 0.058
O 0.795 0.668 0.560
O 0.801 0.662 0.836
O 0.810 0.816 0.340
O 0.815 0.595 0.444
O 0.815 0.869 0.942
O 0.833 0.827 0.660
O 0.834 0.101 0.225
O 0.836 0.126 0.512
O 0.836 0.339 0.726
O 0.837 0.318 0.010
O 0.842 0.607 0.160
O 0.852 0.277 0.328
O 0.858 0.148 0.827
O 0.860 0.134 0.109
O 0.869 0.278 0.610
O 0.955 0.456 0.943
O 0.961 0.871 0.441
O 0.967 0.829 0.160
O 0.977 0.472 0.662

# 3
Computed, not measured: an optimized crystal structure of RbUO3 at the GGA-PBE level of DFT.

Computed properties:
The volume is 82.9 Å³ per cell. The energy of formation comes out at -16.52 eV per formula unit. As for the energy: -8.3156 eV/atom.

Cell: 4.361 4.361 4.361 Å, 90.00 90.00 90.00°
Fractional coordinates of all 5 atoms:
Rb 0.000 0.000 0.000
U 0.500 0.500 0.500
O 0.000 0.500 0.500
O 0.500 0.000 0.500
O 0.500 0.500 0.000

# 4
Computed, not measured: an optimized crystal structure of EuGe12Pt4 at the GGA-PBE level of DFT.

Computed properties:
The volume is 342.8 Å³ per cell. The energy of formation comes out at -6.16 eV per formula unit. As for the energy: -5.6573 eV/atom. For the total magnetization, the calculation gives 6.92 μB/f.u.

Cell: 7.637 7.637 7.637 Å, 109.47 109.47 109.47°
Fractional coordinates of all 17 atoms:
Eu 0.000 0.000 0.000
Ge 0.151 0.354 0.505
Ge 0.151 0.646 0.797
Ge 0.203 0.849 0.354
Ge 0.354 0.203 0.849
Ge 0.354 0.505 0.151
Ge 0.495 0.849 0.646
Ge 0.505 0.151 0.354
Ge 0.646 0.495 0.849
Ge 0.646 0.797 0.151
Ge 0.797 0.151 0.646
Ge 0.849 0.354 0.203
Ge 0.849 0.646 0.495
Pt 0.000 0.000 0.500
Pt 0.000 0.500 0.000
Pt 0.500 0.000 0.000
Pt 0.500 0.500 0.500

# 5
Computed, not measured: an optimized crystal structure of CaAl2Ga2 at the GGA-PBE level of DFT.

Computed properties:
The volume is 101.5 Å³ per cell. The energy of formation comes out at -1.74 eV per formula unit. As for the energy: -3.4581 eV/atom.

Cell: 6.297 6.297 6.297 Å, 140.20 140.20 57.55°
Fractional coordinates of all 5 atoms:
Ca 0.000 0.000 0.000
Al 0.250 0.750 0.500
Al 0.750 0.250 0.500
Ga 0.387 0.387 0.000
Ga 0.613 0.613 0.000

# 6
Computed, not measured: an optimized crystal structure of YFeGe2 at the GGA-PBE level of DFT.

Computed properties:
The volume is 146.8 Å³ per cell. The energy of formation comes out at -1.86 eV per formula unit. As for the energy: -6.5095 eV/atom. For the total magnetization, the calculation gives 1.09 μB/f.u.

Cell: 8.350 8.350 4.318 Å, 90.00 90.00 150.81°
Fractional coordinates of all 8 atoms:
Y 0.105 0.895 0.750
Y 0.895 0.105 0.250
Fe 0.314 0.686 0.750
Fe 0.686 0.314 0.250
Ge 0.252 0.748 0.250
Ge 0.455 0.545 0.750
Ge 0.545 0.455 0.250
Ge 0.748 0.252 0.750

# 7
Computed, not measured: an optimized crystal structure of EuY3 at the GGA-PBE level of DFT.

Computed properties:
The volume is 136.8 Å³ per cell. The energy of formation comes out at 0.35 eV per formula unit. As for the energy: -7.3264 eV/atom. For the total magnetization, the calculation gives 7.07 μB/f.u.

Cell: 6.314 6.314 6.314 Å, 131.88 131.88 70.43°
Fractional coordinates of all 4 atoms:
Eu 0.000 0.000 0.000
Y 0.250 0.750 0.500
Y 0.500 0.500 0.000
Y 0.750 0.250 0.500

# 8
Computed, not measured: an optimized crystal structure of Na7Cu2O6 at the GGA-PBE level of DFT.

Computed properties:
The volume is 435.3 Å³ per cell. The energy of formation comes out at -20.82 eV per formula unit. As for the energy: -4.2560 eV/atom. For the total magnetization, the calculation gives 3.00 μB/f.u.

Cell: 7.831 7.831 10.726 Å, 103.69 103.69 43.18°
Fractional coordinates of all 30 atoms:
Na 0.069 0.931 0.750
Na 0.189 0.259 0.804
Na 0.239 0.426 0.595
Na 0.259 0.189 0.304
Na 0.304 0.578 0.349
Na 0.422 0.696 0.151
Na 0.426 0.239 0.095
Na 0.574 0.761 0.905
Na 0.578 0.304 0.849
Na 0.696 0.422 0.651
Na 0.741 0.811 0.696
Na 0.761 0.574 0.405
Na 0.811 0.741 0.196
Na 0.931 0.069 0.250
Cu 0.003 0.244 0.039
Cu 0.244 0.003 0.539
Cu 0.756 0.997 0.461
Cu 0.997 0.756 0.961
O 0.000 0.348 0.582
O 0.000 0.652 0.418
O 0.132 0.674 0.128
O 0.149 0.607 0.809
O 0.326 0.868 0.372
O 0.348 0.000 0.082
O 0.393 0.851 0.691
O 0.607 0.149 0.309
O 0.652 0.000 0.918
O 0.674 0.132 0.628
O 0.851 0.393 0.191
O 0.868 0.326 0.872

> Look up the energy of formation of the third one.

-16.52 eV per formula unit

> Look up the energy of formation of the first one.

-25.20 eV per formula unit

> Which of these has the lowest energy?

RbUO3